{
  "formula": "NpMn2Ge2",
  "functional": "GGA-PBE",
  "state": "relaxed",
  "cell": [[3.9958, 0.0000, 0.0000], [0.0000, 3.9958, 0.0000], [0.0000, 0.0000, 10.2246]],
  "species": ["Np", "Np", "Mn", "Mn", "Mn", "Mn", "Ge", "Ge", "Ge", "Ge"],
  "fractional_positions": [[0.0000, 0.0000, 0.0000], [0.5000, 0.5000, 0.5000], [0.0000, 0.5000, 0.2500], [0.0000, 0.5000, 0.7500], [0.5000, 0.0000, 0.2500], [0.5000, 0.0000, 0.7500], [0.0000, 0.0000, 0.3751], [0.0000, 0.0000, 0.6249], [0.5000, 0.5000, 0.1249], [0.5000, 0.5000, 0.8751]],
  "formation_enthalpy_0k_mev_per_atom": 107,
  "crystal_system": "tetragonal"
}

---

{
  "formula": "DyAgHg2",
  "functional": "GGA-PBE",
  "state": "relaxed",
  "cell": [[7.1113, 0.0000, 0.0000], [0.0000, 7.1113, 0.0000], [0.0000, 0.0000, 7.1113]],
  "species": ["Dy", "Dy", "Dy", "Dy", "Ag", "Ag", "Ag", "Ag", "Hg", "Hg", "Hg", "Hg", "Hg", "Hg", "Hg", "Hg"],
  "fractional_positions": [[0.0000, 0.0000, 0.0000], [0.0000, 0.5000, 0.5000], [0.5000, 0.0000, 0.5000], [0.5000, 0.5000, 0.0000], [0.0000, 0.0000, 0.5000], [0.0000, 0.5000, 0.0000], [0.5000, 0.0000, 0.0000], [0.5000, 0.5000, 0.5000], [0.2500, 0.2500, 0.2500], [0.2500, 0.2500, 0.7500], [0.2500, 0.7500, 0.2500], [0.2500, 0.7500, 0.7500], [0.7500, 0.2500, 0.2500], [0.7500, 0.2500, 0.7500], [0.7500, 0.7500, 0.2500], [0.7500, 0.7500, 0.7500]],
  "formation_enthalpy_0k_mev_per_atom": -338,
  "crystal_system": "cubic"
}

---

{
  "formula": "BiF3",
  "functional": "GGA-PBE",
  "state": "relaxed",
  "cell": [[4.1239, 0.0000, 0.0000], [-2.0620, 3.5714, 0.0000], [0.0000, 0.0000, 7.0280]],
  "species": ["Bi", "Bi", "F", "F", "F", "F", "F", "F"],
  "fractional_positions": [[0.3333, 0.6667, 0.2500], [0.6667, 0.3333, 0.7500], [0.0000, 0.0000, 0.2500], [0.0000, 0.0000, 0.7500], [0.3333, 0.6667, 0.5790], [0.3333, 0.6667, 0.9210], [0.6667, 0.3333, 0.0790], [0.6667, 0.3333, 0.4210]],
  "formation_enthalpy_0k_mev_per_atom": -2705,
  "crystal_system": "hexagonal"
}

---

{
  "formula": "Gd",
  "functional": "GGA-PBE",
  "state": "relaxed",
  "cell": [[4.0369, 0.0000, 0.0000], [0.0000, 4.0369, 0.0000], [0.0000, 0.0000, 4.0369]],
  "species": ["Gd", "Gd"],
  "fractional_positions": [[0.0000, 0.0000, 0.0000], [0.5000, 0.5000, 0.5000]],
  "formation_enthalpy_0k_mev_per_atom": 88,
  "crystal_system": "cubic",
  "relative_energy_mev_per_atom": 88
}

---

{
  "formula": "ScPt3C",
  "functional": "GGA-PBE",
  "state": "relaxed",
  "cell": [[4.2470, 0.0000, 0.0000], [0.0000, 4.2470, 0.0000], [0.0000, 0.0000, 4.2470]],
  "species": ["Sc", "Pt", "Pt", "Pt", "C"],
  "fractional_positions": [[0.0000, 0.0000, 0.0000], [0.0000, 0.5000, 0.5000], [0.5000, 0.0000, 0.5000], [0.5000, 0.5000, 0.0000], [0.5000, 0.5000, 0.5000]],
  "formation_enthalpy_0k_mev_per_atom": -178,
  "crystal_system": "cubic"
}

---

{
  "formula": "Fe2CuS3",
  "functional": "GGA-PBE",
  "state": "relaxed",
  "cell": [[6.2136, 0.0000, 0.0000], [0.0000, 10.6067, 0.0000], [0.0000, 0.0000, 6.5355]],
  "species": ["Fe", "Fe", "Fe", "Fe", "Fe", "Fe", "Fe", "Fe", "Cu", "Cu", "Cu", "Cu", "S", "S", "S", "S", "S", "S", "S", "S", "S", "S", "S", "S"],
  "fractional_positions": [[0.0478, 0.0943, 0.0896], [0.0478, 0.4057, 0.0896], [0.4522, 0.5943, 0.5896], [0.4522, 0.9057, 0.5896], [0.5478, 0.0943, 0.4104], [0.5478, 0.4057, 0.4104], [0.9522, 0.5943, 0.9104], [0.9522, 0.9057, 0.9104], [0.0479, 0.2500, 0.5667], [0.4521, 0.7500, 0.0667], [0.5479, 0.2500, 0.9333], [0.9521, 0.7500, 0.4333], [0.0885, 0.7500, 0.1065], [0.0979, 0.5807, 0.6024], [0.0979, 0.9193, 0.6024], [0.4021, 0.0807, 0.1024], [0.4021, 0.4193, 0.1024], [0.4115, 0.2500, 0.6065], [0.5885, 0.7500, 0.3935], [0.5979, 0.5807, 0.8976], [0.5979, 0.9193, 0.8976], [0.9021, 0.0807, 0.3976], [0.9021, 0.4193, 0.3976], [0.9115, 0.2500, 0.8935]],
  "formation_enthalpy_0k_mev_per_atom": -300,
  "crystal_system": "orthorhombic",
  "relative_energy_mev_per_atom": 204
}

---

{
  "formula": "RbSi2O5",
  "functional": "GGA-PBE",
  "state": "relaxed",
  "cell": [[12.0717, 0.0000, 0.0000], [0.0000, 8.3622, 0.0000], [0.0000, 0.0000, 4.9051]],
  "species": ["Rb", "Rb", "Rb", "Rb", "Si", "Si", "Si", "Si", "Si", "Si", "Si", "Si", "O", "O", "O", "O", "O", "O", "O", "O", "O", "O", "O", "O", "O", "O", "O", "O", "O", "O", "O", "O"],
  "fractional_positions": [[0.0303, 0.2500, 0.0347], [0.4697, 0.7500, 0.5347], [0.5303, 0.2500, 0.4653], [0.9697, 0.7500, 0.9653], [0.1843, 0.5613, 0.5031], [0.1843, 0.9387, 0.5031], [0.3157, 0.0613, 0.0031], [0.3157, 0.4387, 0.0031], [0.6843, 0.5613, 0.9969], [0.6843, 0.9387, 0.9969], [0.8157, 0.0613, 0.4969], [0.8157, 0.4387, 0.4969], [0.0714, 0.5007, 0.6500], [0.0714, 0.9993, 0.6500], [0.1837, 0.7500, 0.4056], [0.2151, 0.0439, 0.2303], [0.2151, 0.4561, 0.2303], [0.2849, 0.5439, 0.7303], [0.2849, 0.9561, 0.7303], [0.3163, 0.2500, 0.9056], [0.4286, 0.0007, 0.1500], [0.4286, 0.4993, 0.1500], [0.5714, 0.5007, 0.8500], [0.5714, 0.9993, 0.8500], [0.6837, 0.7500, 0.0944], [0.7151, 0.0439, 0.2697], [0.7151, 0.4561, 0.2697], [0.7849, 0.5439, 0.7697], [0.7849, 0.9561, 0.7697], [0.8163, 0.2500, 0.5944], [0.9286, 0.0007, 0.3500], [0.9286, 0.4993, 0.3500]],
  "formation_enthalpy_0k_mev_per_atom": -2759,
  "crystal_system": "orthorhombic"
}

---

{
  "formula": "SmGa4Ni",
  "functional": "GGA-PBE",
  "state": "relaxed",
  "cell": [[2.0913, -7.7151, 0.0000], [2.0913, 7.7151, 0.0000], [0.0000, 0.0000, 6.5371]],
  "species": ["Sm", "Sm", "Ga", "Ga", "Ga", "Ga", "Ga", "Ga", "Ga", "Ga", "Ni", "Ni"],
  "fractional_positions": [[0.1175, 0.8825, 0.7500], [0.8825, 0.1175, 0.2500], [0.0726, 0.9274, 0.2500], [0.3138, 0.6862, 0.5522], [0.3138, 0.6862, 0.9478], [0.5000, 0.5000, 0.0000], [0.5000, 0.5000, 0.5000], [0.6862, 0.3138, 0.0522], [0.6862, 0.3138, 0.4478], [0.9274, 0.0726, 0.7500], [0.2240, 0.7760, 0.2500], [0.7760, 0.2240, 0.7500]],
  "formation_enthalpy_0k_mev_per_atom": -553,
  "crystal_system": "orthorhombic"
}

---

Computed calculated density, in the same sequence as the records: 10.01; 12.40; 8.53; 7.94; 13.92; 4.19; 2.97; 7.68 Mg/m³.